# 1
First-principles (r²SCAN) data for a geometry-optimized NaMoP2O7 structure, as listed in the Materials Project.

Calculated values
E_tot   -459.8 eV/cell
ρ   3.58 g cm⁻³

a b c (Å): 7.4225 8.0521 9.7957
angles (deg): 90.00 112.04 90.00
Space group P2_1/c (No. 14)
Asymmetric unit:
Na: 0.2160 0.0139 0.2151 (multiplicity 4)
Mo: 0.2429 0.0049 0.7511 (multiplicity 4)
P: 0.1714 0.7192 0.9581 (multiplicity 4)
P: 0.4246 0.2475 0.0397 (multiplicity 4)
O: 0.0392 0.5889 0.8612 (multiplicity 4)
O: 0.1244 0.6045 0.3985 (multiplicity 4)
O: 0.1946 0.7152 0.1186 (multiplicity 4)
O: 0.3088 0.2243 0.8765 (multiplicity 4)
O: 0.3310 0.1257 0.6028 (multiplicity 4)
O: 0.3728 0.6673 0.9437 (multiplicity 4)
O: 0.4716 0.0862 0.1274 (multiplicity 4)

=====

# 2
First-principles (r²SCAN) data for a geometry-optimized Al3B2Ru4 structure, as listed in the Materials Project.

Calculated values
E_tot   -284.8 eV/cell
ρ   7.98 g cm⁻³

a b c (Å): 8.4822 8.4822 2.9311
angles (deg): 90.00 90.00 90.00
Space group P4/mmm (No. 123)
Asymmetric unit:
Al: 0.0000 0.0000 0.0000 (multiplicity 1)
Al: 0.0000 0.3462 0.0000 (multiplicity 4)
Al: 0.5000 0.5000 0.0000 (multiplicity 1)
B: 0.3057 0.3057 0.0000 (multiplicity 4)
Ru: 0.1762 0.1762 0.5000 (multiplicity 4)
Ru: 0.2449 0.5000 0.5000 (multiplicity 4)

=====

# 3
First-principles (r²SCAN) data for a geometry-optimized NdNiSb3 structure, as listed in the Materials Project.

Calculated values
E_tot   -1463.0 eV/cell
ρ   7.77 g cm⁻³

a b c (Å): 12.7267 6.2376 18.3453
angles (deg): 90.00 90.00 90.00
Space group Pbcm (No. 57)
Asymmetric unit:
Nd: 0.1945 0.0571 0.2500 (multiplicity 4)
Nd: 0.2004 0.5266 0.0836 (multiplicity 8)
Ni: 0.3993 0.2500 0.0000 (multiplicity 4)
Ni: 0.4034 0.6742 0.6755 (multiplicity 8)
Sb: 0.0033 0.2500 0.0000 (multiplicity 4)
Sb: 0.0035 0.7084 0.6661 (multiplicity 8)
Sb: 0.2776 0.0261 0.0841 (multiplicity 8)
Sb: 0.2819 0.5541 0.2500 (multiplicity 4)
Sb: 0.4430 0.1812 0.2500 (multiplicity 4)
Sb: 0.4748 0.5410 0.0866 (multiplicity 8)

=====

# 4
First-principles (r²SCAN) data for a geometry-optimized Li2CaHfF8 structure, as listed in the Materials Project.

Calculated values
E_tot   -257.0 eV/cell
ρ   4.74 g cm⁻³

a b c (Å): 5.0716 5.0716 10.4657
angles (deg): 90.00 90.00 90.00
Space group I-4 (No. 82)
Asymmetric unit:
Li: 0.0000 0.0000 0.0000 (multiplicity 2)
Li: 0.0000 0.5000 0.2500 (multiplicity 2)
Ca: 0.0000 0.0000 0.5000 (multiplicity 2)
Hf: 0.0000 0.5000 0.7500 (multiplicity 2)
F: 0.1457 0.2875 0.9108 (multiplicity 8)
F: 0.1855 0.7853 0.3200 (multiplicity 8)

=====

Q: Which value of ρ does entry 2 give?
A: 7.98 g cm⁻³